No. 1
VASP calculation (PBE) on a geometry-optimized PuSnAu2 structure.

```
data_PuSnAu2
_chemical_formula_sum 'Pu1 Sn1 Au2'
_cell_length_a 5.036
_cell_length_b 5.036
_cell_length_c 5.036
_cell_angle_alpha 60.00
_cell_angle_beta 60.00
_cell_angle_gamma 60.00
_symmetry_space_group_name_H-M 'P 1'
_symmetry_Int_Tables_number 1
loop_
_symmetry_equiv_pos_as_xyz
'x,y,z'
loop_
_atom_site_label
_atom_site_fract_x
_atom_site_fract_y
_atom_site_fract_z
_atom_site_occupancy
Pu1 0.500 0.500 0.500 1
Sn1 0.000 0.000 0.000 1
Au1 0.250 0.250 0.250 1
Au2 0.750 0.750 0.750 1
```

Its formation enthalpy at 0 K is -0.444 eV/atom. For the calculated density, the calculation gives 13.92 Mg/m³.


No. 2
VASP calculation (PBE) on a geometry-optimized CeAsNO4F2 structure.

```
data_CeAsNO4F2
_chemical_formula_sum 'Ce2 As2 N2 O8 F4'
_cell_length_a 7.016
_cell_length_b 5.981
_cell_length_c 7.361
_cell_angle_alpha 90.00
_cell_angle_beta 112.59
_cell_angle_gamma 90.00
_symmetry_space_group_name_H-M 'P 1'
_symmetry_Int_Tables_number 1
loop_
_symmetry_equiv_pos_as_xyz
'x,y,z'
loop_
_atom_site_label
_atom_site_fract_x
_atom_site_fract_y
_atom_site_fract_z
_atom_site_occupancy
Ce1 0.387 0.750 0.319 1
Ce2 0.613 0.250 0.681 1
As1 0.775 0.750 0.044 1
As2 0.225 0.250 0.956 1
N1 0.051 0.750 0.678 1
N2 0.949 0.250 0.322 1
O1 0.002 0.750 0.248 1
O2 0.998 0.250 0.752 1
O3 0.761 0.981 0.901 1
O4 0.239 0.481 0.099 1
O5 0.239 0.019 0.099 1
O6 0.761 0.519 0.901 1
O7 0.565 0.750 0.107 1
O8 0.435 0.250 0.893 1
F1 0.654 0.004 0.456 1
F2 0.346 0.504 0.544 1
F3 0.346 0.996 0.544 1
F4 0.654 0.496 0.456 1
```

Its formation enthalpy at 0 K is -1.728 eV/atom. For the calculated density, the calculation gives 3.85 Mg/m³.


No. 3
VASP calculation (PBE) on a geometry-optimized SrTa2Bi2O9 structure.

```
data_SrTa2Bi2O9
_chemical_formula_sum 'Sr2 Ta4 Bi4 O18'
_cell_length_a 13.060
_cell_length_b 13.060
_cell_length_c 5.594
_cell_angle_alpha 90.00
_cell_angle_beta 90.00
_cell_angle_gamma 155.17
_symmetry_space_group_name_H-M 'P 1'
_symmetry_Int_Tables_number 1
loop_
_symmetry_equiv_pos_as_xyz
'x,y,z'
loop_
_atom_site_label
_atom_site_fract_x
_atom_site_fract_y
_atom_site_fract_z
_atom_site_occupancy
Sr1 0.019 0.019 0.000 1
Sr2 0.519 0.519 0.500 1
Ta1 0.932 0.099 0.503 1
Ta2 0.099 0.932 0.497 1
Ta3 0.432 0.599 0.997 1
Ta4 0.599 0.432 0.003 1
Bi1 0.719 0.120 0.978 1
Bi2 0.120 0.719 0.022 1
Bi3 0.620 0.219 0.478 1
Bi4 0.219 0.620 0.522 1
O1 0.197 0.882 0.464 1
O2 0.963 0.461 0.261 1
O3 0.461 0.963 0.739 1
O4 0.697 0.382 0.036 1
O5 0.526 0.526 0.000 1
O6 0.026 0.026 0.500 1
O7 0.676 0.831 0.268 1
O8 0.831 0.676 0.732 1
O9 0.218 0.365 0.732 1
O10 0.961 0.463 0.761 1
O11 0.718 0.865 0.768 1
O12 0.331 0.176 0.768 1
O13 0.865 0.718 0.232 1
O14 0.176 0.331 0.232 1
O15 0.382 0.697 0.964 1
O16 0.365 0.218 0.268 1
O17 0.882 0.197 0.536 1
O18 0.463 0.961 0.239 1
```

Its formation enthalpy at 0 K is -2.829 eV/atom. For the calculated density, the calculation gives 8.38 Mg/m³. The energy relative to the lowest polymorph listed for this composition is 0.15 eV/f.u.


No. 4
VASP calculation (PBE) on a geometry-optimized Ce2CuTe2O structure.

```
data_Ce2CuTe2O
_chemical_formula_sum 'Ce2 Cu1 Te2 O1'
_cell_length_a 3.516
_cell_length_b 3.516
_cell_length_c 15.076
_cell_angle_alpha 90.00
_cell_angle_beta 90.00
_cell_angle_gamma 90.00
_symmetry_space_group_name_H-M 'P 1'
_symmetry_Int_Tables_number 1
loop_
_symmetry_equiv_pos_as_xyz
'x,y,z'
loop_
_atom_site_label
_atom_site_fract_x
_atom_site_fract_y
_atom_site_fract_z
_atom_site_occupancy
Ce1 0.500 0.500 0.637 1
Ce2 0.500 0.500 0.363 1
Cu1 0.500 0.500 0.000 1
Te1 0.500 0.500 0.161 1
Te2 0.500 0.500 0.839 1
O1 0.500 0.500 0.500 1
```

Its formation enthalpy at 0 K is -0.607 eV/atom. For the calculated density, the calculation gives 5.48 Mg/m³.


No. 5
VASP calculation (PBE) on a geometry-optimized Na6Mg4Ta4Si5S7O48 structure.

```
data_Na6Mg4Ta4Si5S7O48
_chemical_formula_sum 'Na18 Mg12 Ta12 Si15 S21 O144'
_cell_length_a 17.766
_cell_length_b 8.899
_cell_length_c 22.772
_cell_angle_alpha 90.06
_cell_angle_beta 90.06
_cell_angle_gamma 120.14
_symmetry_space_group_name_H-M 'P 1'
_symmetry_Int_Tables_number 1
loop_
_symmetry_equiv_pos_as_xyz
'x,y,z'
loop_
_atom_site_label
_atom_site_fract_x
_atom_site_fract_y
_atom_site_fract_z
_atom_site_occupancy
Na1 0.001 0.621 0.250 1
Na2 0.501 0.623 0.250 1
Na3 0.001 0.373 0.750 1
Na4 0.501 0.380 0.750 1
Na5 0.331 0.968 0.579 1
Na6 0.830 0.693 0.083 1
Na7 0.991 0.980 0.495 1
Na8 0.503 0.999 0.498 1
Na9 0.003 0.004 0.003 1
Na10 0.490 0.998 0.000 1
Na11 0.327 0.350 0.828 1
Na12 0.817 0.316 0.825 1
Na13 0.327 0.321 0.319 1
Na14 0.825 0.303 0.326 1
Na15 0.174 0.682 0.171 1
Na16 0.667 0.683 0.172 1
Na17 0.177 0.651 0.664 1
Na18 0.669 0.660 0.669 1
Mg1 0.332 0.347 0.685 1
Mg2 0.824 0.322 0.691 1
Mg3 0.331 0.326 0.194 1
Mg4 0.831 0.316 0.185 1
Mg5 0.173 0.675 0.021 1
Mg6 0.662 0.665 0.018 1
Mg7 0.165 0.664 0.515 1
Mg8 0.670 0.669 0.519 1
Mg9 0.167 0.677 0.310 1
Mg10 0.672 0.685 0.309 1
Mg11 0.177 0.661 0.813 1
Mg12 0.665 0.657 0.810 1
Ta1 0.003 0.999 0.357 1
Ta2 0.500 0.001 0.347 1
Ta3 0.001 0.011 0.851 1
Ta4 0.503 0.006 0.858 1
Ta5 0.997 0.008 0.648 1
Ta6 0.504 0.007 0.642 1
Ta7 0.004 0.000 0.142 1
Ta8 0.498 0.000 0.152 1
Ta9 0.338 0.339 0.977 1
Ta10 0.837 0.332 0.986 1
Ta11 0.339 0.344 0.484 1
Ta12 0.835 0.334 0.474 1
Si1 0.147 0.000 0.250 1
Si2 0.654 0.010 0.249 1
Si3 0.346 0.700 0.250 1
Si4 0.505 0.304 0.250 1
Si5 0.154 0.303 0.749 1
Si6 0.648 0.295 0.750 1
Si7 0.847 0.996 0.750 1
Si8 0.485 0.353 0.590 1
Si9 0.326 0.622 0.587 1
Si10 0.986 0.620 0.090 1
Si11 0.826 0.028 0.087 1
Si12 0.307 0.667 0.918 1
Si13 0.528 0.390 0.915 1
Si14 0.806 0.939 0.417 1
Si15 0.029 0.668 0.415 1
S1 0.857 0.716 0.249 1
S2 0.000 0.284 0.250 1
S3 0.003 0.718 0.750 1
S4 0.500 0.715 0.750 1
S5 0.355 0.996 0.749 1
S6 0.977 0.335 0.585 1
S7 0.186 0.045 0.584 1
S8 0.692 0.045 0.584 1
S9 0.835 0.620 0.586 1
S10 0.478 0.625 0.084 1
S11 0.335 0.048 0.085 1
S12 0.192 0.337 0.084 1
S13 0.686 0.327 0.083 1
S14 0.815 0.664 0.917 1
S15 0.019 0.375 0.915 1
S16 0.165 0.954 0.917 1
S17 0.670 0.961 0.916 1
S18 0.315 0.964 0.419 1
S19 0.170 0.378 0.417 1
S20 0.663 0.372 0.418 1
S21 0.520 0.669 0.417 1
O1 0.091 0.017 0.306 1
O2 0.596 0.019 0.307 1
O3 0.414 0.810 0.307 1
O4 0.913 0.811 0.301 1
O5 0.491 0.172 0.307 1
O6 0.989 0.176 0.303 1
O7 0.094 0.173 0.807 1
O8 0.592 0.163 0.806 1
O9 0.490 0.802 0.803 1
O10 0.991 0.805 0.803 1
O11 0.411 0.011 0.801 1
O12 0.915 0.014 0.806 1
O13 0.397 0.973 0.694 1
O14 0.904 0.975 0.693 1
O15 0.084 0.183 0.693 1
O16 0.583 0.178 0.693 1
O17 0.013 0.827 0.696 1
O18 0.503 0.818 0.696 1
O19 0.402 0.834 0.193 1
O20 0.899 0.821 0.194 1
O21 0.003 0.188 0.196 1
O22 0.513 0.195 0.192 1
O23 0.081 0.984 0.193 1
O24 0.585 0.984 0.192 1
O25 0.435 0.350 0.648 1
O26 0.937 0.350 0.639 1
O27 0.239 0.125 0.636 1
O28 0.742 0.128 0.637 1
O29 0.309 0.505 0.642 1
O30 0.830 0.521 0.638 1
O31 0.436 0.526 0.137 1
O32 0.935 0.521 0.147 1
O33 0.329 0.137 0.137 1
O34 0.812 0.119 0.141 1
O35 0.243 0.354 0.136 1
O36 0.739 0.354 0.135 1
O37 0.230 0.300 0.030 1
O38 0.731 0.304 0.028 1
O39 0.420 0.531 0.031 1
O40 0.915 0.525 0.030 1
O41 0.344 0.153 0.030 1
O42 0.843 0.161 0.027 1
O43 0.228 0.155 0.530 1
O44 0.730 0.159 0.531 1
O45 0.342 0.524 0.528 1
O46 0.847 0.538 0.532 1
O47 0.415 0.306 0.531 1
O48 0.920 0.305 0.533 1
O49 0.272 0.709 0.976 1
O50 0.784 0.696 0.972 1
O51 0.071 0.451 0.968 1
O52 0.584 0.464 0.973 1
O53 0.149 0.852 0.970 1
O54 0.658 0.864 0.970 1
O55 0.280 0.869 0.474 1
O56 0.774 0.839 0.477 1
O57 0.157 0.450 0.471 1
O58 0.651 0.447 0.472 1
O59 0.082 0.702 0.474 1
O60 0.571 0.687 0.470 1
O61 0.057 0.621 0.355 1
O62 0.552 0.638 0.363 1
O63 0.263 0.882 0.367 1
O64 0.751 0.876 0.359 1
O65 0.185 0.480 0.364 1
O66 0.679 0.470 0.365 1
O67 0.052 0.468 0.860 1
O68 0.556 0.490 0.854 1
O69 0.178 0.881 0.863 1
O70 0.685 0.890 0.863 1
O71 0.254 0.618 0.858 1
O72 0.763 0.644 0.865 1
O73 0.008 0.833 0.407 1
O74 0.505 0.821 0.414 1
O75 0.407 0.992 0.413 1
O76 0.911 0.993 0.405 1
O77 0.089 0.198 0.411 1
O78 0.587 0.187 0.413 1
O79 0.005 0.190 0.910 1
O80 0.508 0.182 0.906 1
O81 0.086 0.981 0.909 1
O82 0.590 0.981 0.910 1
O83 0.411 0.827 0.905 1
O84 0.908 0.820 0.908 1
O85 0.486 0.159 0.591 1
O86 0.983 0.165 0.588 1
O87 0.097 0.027 0.588 1
O88 0.601 0.028 0.589 1
O89 0.420 0.815 0.591 1
O90 0.920 0.800 0.590 1
O91 0.483 0.800 0.084 1
O92 0.986 0.813 0.090 1
O93 0.418 0.036 0.086 1
O94 0.921 0.025 0.090 1
O95 0.101 0.173 0.089 1
O96 0.599 0.164 0.084 1
O97 0.354 0.159 0.747 1
O98 0.859 0.187 0.746 1
O99 0.242 0.299 0.749 1
O100 0.741 0.310 0.748 1
O101 0.423 0.539 0.748 1
O102 0.925 0.546 0.744 1
O103 0.356 0.533 0.244 1
O104 0.855 0.550 0.247 1
O105 0.419 0.316 0.245 1
O106 0.923 0.306 0.247 1
O107 0.237 0.174 0.246 1
O108 0.742 0.190 0.247 1
O109 0.323 0.495 0.931 1
O110 0.826 0.506 0.922 1
O111 0.424 0.343 0.930 1
O112 0.927 0.346 0.923 1
O113 0.242 0.137 0.925 1
O114 0.746 0.148 0.923 1
O115 0.325 0.144 0.425 1
O116 0.823 0.149 0.431 1
O117 0.245 0.342 0.425 1
O118 0.743 0.347 0.428 1
O119 0.427 0.506 0.426 1
O120 0.924 0.504 0.431 1
O121 0.178 0.483 0.076 1
O122 0.678 0.481 0.074 1
O123 0.079 0.648 0.075 1
O124 0.564 0.648 0.076 1
O125 0.259 0.874 0.079 1
O126 0.752 0.831 0.073 1
O127 0.176 0.872 0.576 1
O128 0.678 0.871 0.576 1
O129 0.251 0.671 0.574 1
O130 0.761 0.648 0.581 1
O131 0.065 0.479 0.577 1
O132 0.580 0.509 0.577 1
O133 0.141 0.815 0.251 1
O134 0.648 0.826 0.251 1
O135 0.255 0.690 0.255 1
O136 0.772 0.699 0.253 1
O137 0.081 0.451 0.252 1
O138 0.593 0.485 0.256 1
O139 0.145 0.473 0.750 1
O140 0.643 0.469 0.751 1
O141 0.082 0.707 0.756 1
O142 0.581 0.710 0.752 1
O143 0.268 0.844 0.753 1
O144 0.756 0.826 0.755 1
```

Its formation enthalpy at 0 K is -2.592 eV/atom. For the calculated density, the calculation gives 3.35 Mg/m³.


No. 6
VASP calculation (PBE) on a geometry-optimized LaAl22O34 structure.

```
data_LaAl22O34
_chemical_formula_sum 'La2 Al44 O68'
_cell_length_a 9.816
_cell_length_b 11.304
_cell_length_c 11.828
_cell_angle_alpha 103.86
_cell_angle_beta 98.02
_cell_angle_gamma 90.01
_symmetry_space_group_name_H-M 'P 1'
_symmetry_Int_Tables_number 1
loop_
_symmetry_equiv_pos_as_xyz
'x,y,z'
loop_
_atom_site_label
_atom_site_fract_x
_atom_site_fract_y
_atom_site_fract_z
_atom_site_occupancy
La1 0.500 0.500 0.500 1
La2 0.000 0.000 0.500 1
Al1 0.501 0.751 0.002 1
Al2 0.450 0.427 0.205 1
Al3 0.453 0.678 0.216 1
Al4 0.499 0.249 0.998 1
Al5 0.324 0.488 0.949 1
Al6 0.272 0.410 0.649 1
Al7 0.222 0.336 0.351 1
Al8 0.203 0.053 0.216 1
Al9 0.950 0.180 0.216 1
Al10 0.452 0.930 0.216 1
Al11 0.451 0.178 0.215 1
Al12 0.174 0.262 0.051 1
Al13 0.326 0.986 0.950 1
Al14 0.050 0.075 0.795 1
Al15 0.296 0.195 0.783 1
Al16 0.278 0.910 0.649 1
Al17 0.228 0.836 0.351 1
Al18 0.704 0.805 0.217 1
Al19 0.953 0.680 0.215 1
Al20 0.204 0.553 0.216 1
Al21 0.950 0.925 0.205 1
Al22 0.176 0.762 0.050 1
Al23 0.826 0.738 0.949 1
Al24 0.000 0.000 0.000 1
Al25 0.048 0.572 0.785 1
Al26 0.797 0.947 0.784 1
Al27 0.050 0.820 0.784 1
Al28 0.297 0.695 0.785 1
Al29 0.778 0.664 0.649 1
Al30 0.728 0.590 0.351 1
Al31 0.703 0.305 0.215 1
Al32 0.952 0.428 0.215 1
Al33 0.676 0.512 0.051 1
Al34 0.824 0.238 0.950 1
Al35 0.000 0.500 0.000 1
Al36 0.547 0.322 0.784 1
Al37 0.550 0.573 0.795 1
Al38 0.796 0.447 0.784 1
Al39 0.047 0.320 0.785 1
Al40 0.772 0.164 0.649 1
Al41 0.722 0.090 0.351 1
Al42 0.674 0.014 0.050 1
Al43 0.549 0.822 0.785 1
Al44 0.548 0.070 0.784 1
O1 0.455 0.675 0.713 1
O2 0.352 0.528 0.111 1
O3 0.405 0.344 0.899 1
O4 0.407 0.607 0.901 1
O5 0.452 0.179 0.716 1
O6 0.199 0.300 0.709 1
O7 0.454 0.430 0.706 1
O8 0.281 0.391 0.500 1
O9 0.297 0.196 0.289 1
O10 0.305 0.449 0.294 1
O11 0.352 0.027 0.111 1
O12 0.094 0.142 0.101 1
O13 0.359 0.276 0.099 1
O14 0.141 0.976 0.901 1
O15 0.906 0.093 0.901 1
O16 0.407 0.841 0.900 1
O17 0.403 0.107 0.899 1
O18 0.148 0.222 0.889 1
O19 0.955 0.931 0.713 1
O20 0.204 0.802 0.711 1
O21 0.195 0.052 0.706 1
O22 0.955 0.173 0.706 1
O23 0.454 0.926 0.708 1
O24 0.219 0.891 0.500 1
O25 0.805 0.948 0.294 1
O26 0.045 0.827 0.294 1
O27 0.301 0.696 0.292 1
O28 0.298 0.947 0.289 1
O29 0.045 0.069 0.287 1
O30 0.852 0.778 0.111 1
O31 0.094 0.644 0.100 1
O32 0.859 0.024 0.099 1
O33 0.094 0.907 0.099 1
O34 0.360 0.774 0.099 1
O35 0.641 0.724 0.901 1
O36 0.903 0.593 0.899 1
O37 0.140 0.475 0.901 1
O38 0.906 0.858 0.899 1
O39 0.148 0.722 0.889 1
O40 0.952 0.429 0.716 1
O41 0.695 0.551 0.706 1
O42 0.703 0.804 0.711 1
O43 0.202 0.552 0.711 1
O44 0.954 0.678 0.708 1
O45 0.719 0.609 0.500 1
O46 0.546 0.570 0.294 1
O47 0.798 0.448 0.289 1
O48 0.046 0.322 0.292 1
O49 0.801 0.700 0.291 1
O50 0.048 0.571 0.284 1
O51 0.852 0.278 0.111 1
O52 0.593 0.393 0.099 1
O53 0.595 0.656 0.101 1
O54 0.860 0.525 0.099 1
O55 0.097 0.407 0.101 1
O56 0.640 0.226 0.901 1
O57 0.906 0.356 0.900 1
O58 0.648 0.472 0.889 1
O59 0.702 0.053 0.711 1
O60 0.699 0.304 0.708 1
O61 0.781 0.109 0.500 1
O62 0.546 0.074 0.292 1
O63 0.796 0.198 0.289 1
O64 0.545 0.325 0.287 1
O65 0.597 0.893 0.101 1
O66 0.593 0.159 0.100 1
O67 0.648 0.973 0.889 1
O68 0.548 0.821 0.284 1
```

Its formation enthalpy at 0 K is -3.397 eV/atom. For the calculated density, the calculation gives 3.36 Mg/m³.